Entry 1:
## YHo (GGA-PBE)

Data for an optimized crystal structure of YHo.

Unit cell a=3.6099 b=3.6099 c=5.7308 alpha=90.00 beta=90.00 gamma=120.00
With the nearest neighbours (Å) after each atom.
Fractional coordinates of all 2 atoms:
Y1 0.0000 0.0000 0.0000  6 Ho 3.54, 6 Y 3.61
Ho1 0.3333 0.6667 0.5000  6 Y 3.54, 6 Ho 3.61

Results
- Final energy: -5.513 eV per atom
- Space group: P-6m2
- ΔH_f (0 K): 11 meV/atom

***

Entry 2:
## Y3Ho (GGA-PBE)

Data for an optimized crystal structure of Y3Ho.

Unit cell a=7.2366 b=7.2366 c=5.7555 alpha=90.00 beta=90.00 gamma=120.00
With the nearest neighbours (Å) after each atom.
Fractional coordinates of all 8 atoms:
Y1 0.1674 0.3348 0.2500  4 Ho 3.55-3.62, 8 Y 3.56-3.63
Y2 0.1674 0.8326 0.2500  4 Ho 3.55-3.62, 8 Y 3.56-3.63
Y3 0.3348 0.1674 0.7500  4 Ho 3.55-3.62, 8 Y 3.56-3.63
Y4 0.6652 0.8326 0.2500  4 Ho 3.55-3.62, 8 Y 3.56-3.63
Y5 0.8326 0.1674 0.7500  4 Ho 3.55-3.62, 8 Y 3.56-3.63
Y6 0.8326 0.6652 0.7500  4 Ho 3.55-3.62, 8 Y 3.56-3.63
Ho1 0.3333 0.6667 0.7500  12 Y 3.55-3.62
Ho2 0.6667 0.3333 0.2500  12 Y 3.55-3.62

Results
- Final energy: -5.988 eV per atom
- Space group: P6_3/mmc
- ΔH_f (0 K): 8 meV/atom

***

Entry 3:
## HoZn2 (GGA-PBE)

Data for an optimized crystal structure of HoZn2.

Unit cell a=4.4580 b=7.0686 c=7.5915 alpha=90.00 beta=90.00 gamma=90.00
With the nearest neighbours (Å) after each atom.
Fractional coordinates of all 12 atoms:
Ho1 0.0000 0.2500 0.0279  12 Zn 3.05-3.21
Ho2 0.0000 0.7500 0.9721  12 Zn 3.05-3.21
Ho3 0.5000 0.2500 0.4721  12 Zn 3.05-3.21
Ho4 0.5000 0.7500 0.5279  12 Zn 3.05-3.21
Zn1 0.0000 0.0407 0.6659  3 Zn 2.57-2.58
Zn2 0.0000 0.4593 0.6659  3 Zn 2.57-2.58
Zn3 0.0000 0.5407 0.3341  3 Zn 2.57-2.58
Zn4 0.0000 0.9593 0.3341  3 Zn 2.57-2.58
Zn5 0.5000 0.0407 0.8341  3 Zn 2.57-2.58
Zn6 0.5000 0.4593 0.8341  3 Zn 2.57-2.58
Zn7 0.5000 0.5407 0.1659  3 Zn 2.57-2.58
Zn8 0.5000 0.9593 0.1659  3 Zn 2.57-2.58

Results
- Final energy: -2.760 eV per atom
- Space group: Imma
- ΔH_f (0 K): -393 meV/atom

***

Entry 4:
## Ho2Zn17 (GGA-PBE)

Data for an optimized crystal structure of Ho2Zn17.

Unit cell a=6.7911 b=6.7911 c=6.7911 alpha=82.50 beta=82.50 gamma=82.50
With the nearest neighbours (Å) after each atom.
Fractional coordinates of all 19 atoms:
Ho1 0.1650 0.1650 0.1650  19 Zn 3.10-3.45
Ho2 0.8350 0.8350 0.8350  19 Zn 3.10-3.45
Zn1 0.0000 0.5000 0.5000  10 Zn 2.59-2.73
Zn2 0.1480 0.1480 0.6620  8 Zn 2.54-2.76
Zn3 0.1480 0.6620 0.1480  8 Zn 2.54-2.76
Zn4 0.2018 0.5000 0.7982  8 Zn 2.59-2.76
Zn5 0.2018 0.7982 0.5000  8 Zn 2.59-2.76
Zn6 0.3380 0.8520 0.8520  8 Zn 2.54-2.76
Zn7 0.3999 0.3999 0.3999  7 Zn 2.64-2.86
Zn8 0.5000 0.0000 0.5000  10 Zn 2.59-2.73
Zn9 0.5000 0.2018 0.7982  8 Zn 2.59-2.76
Zn10 0.5000 0.5000 0.0000  10 Zn 2.59-2.73
Zn11 0.5000 0.7982 0.2018  8 Zn 2.59-2.76
Zn12 0.6001 0.6001 0.6001  7 Zn 2.64-2.86
Zn13 0.6620 0.1480 0.1480  8 Zn 2.54-2.76
Zn14 0.7982 0.2018 0.5000  8 Zn 2.59-2.76
Zn15 0.7982 0.5000 0.2018  8 Zn 2.59-2.76
Zn16 0.8520 0.3380 0.8520  8 Zn 2.54-2.76
Zn17 0.8520 0.8520 0.3380  8 Zn 2.54-2.76

Results
- Final energy: -1.847 eV per atom
- Space group: R-3m
- ΔH_f (0 K): -238 meV/atom